A) A geometry-optimized Li9Mn20O40 structure. Source: the Materials Project database, functional PBE+U.

Computed properties:
Total magnetic moment ... 69.0 μB per formula unit

a = 8.765 Å, b = 10.181 Å, c = 10.200 Å
α = 79.32°, β = 64.56°, γ = 64.75°
Space group P1 (No. 1)
Inequivalent atoms, fractional coordinates:
Li 0.000 0.000 0.000 (multiplicity 1)
Li 0.031 0.096 0.303 (multiplicity 1)
Li 0.188 0.404 0.205 (multiplicity 1)
Li 0.393 0.804 0.403 (multiplicity 1)
Li 0.429 0.906 0.702 (multiplicity 1)
Li 0.594 0.203 0.604 (multiplicity 1)
Li 0.640 0.297 0.904 (multiplicity 1)
Li 0.789 0.602 0.800 (multiplicity 1)
Li 0.839 0.703 0.100 (multiplicity 1)
Mn 0.012 0.050 0.651 (multiplicity 1)
Mn 0.108 0.254 0.750 (multiplicity 1)
Mn 0.110 0.748 0.254 (multiplicity 1)
Mn 0.122 0.754 0.751 (multiplicity 1)
Mn 0.221 0.451 0.853 (multiplicity 1)
Mn 0.310 0.150 0.952 (multiplicity 1)
Mn 0.311 0.159 0.451 (multiplicity 1)
Mn 0.320 0.651 0.955 (multiplicity 1)
Mn 0.407 0.854 0.055 (multiplicity 1)
Mn 0.513 0.054 0.151 (multiplicity 1)
Mn 0.517 0.553 0.153 (multiplicity 1)
Mn 0.519 0.553 0.659 (multiplicity 1)
Mn 0.626 0.249 0.251 (multiplicity 1)
Mn 0.712 0.950 0.851 (multiplicity 1)
Mn 0.712 0.954 0.352 (multiplicity 1)
Mn 0.719 0.451 0.351 (multiplicity 1)
Mn 0.804 0.657 0.453 (multiplicity 1)
Mn 0.908 0.348 0.553 (multiplicity 1)
Mn 0.912 0.847 0.555 (multiplicity 1)
Mn 0.919 0.351 0.050 (multiplicity 1)
O 0.020 0.665 0.448 (multiplicity 1)
O 0.046 0.159 0.468 (multiplicity 1)
O 0.079 0.166 0.947 (multiplicity 1)
O 0.104 0.648 0.940 (multiplicity 1)
O 0.131 0.338 0.555 (multiplicity 1)
O 0.149 0.860 0.566 (multiplicity 1)
O 0.152 0.343 0.040 (multiplicity 1)
O 0.190 0.836 0.057 (multiplicity 1)
O 0.232 0.069 0.644 (multiplicity 1)
O 0.264 0.568 0.145 (multiplicity 1)
O 0.272 0.046 0.136 (multiplicity 1)
O 0.293 0.557 0.670 (multiplicity 1)
O 0.349 0.255 0.772 (multiplicity 1)
O 0.372 0.749 0.235 (multiplicity 1)
O 0.380 0.731 0.762 (multiplicity 1)
O 0.402 0.243 0.253 (multiplicity 1)
O 0.444 0.960 0.872 (multiplicity 1)
O 0.465 0.471 0.850 (multiplicity 1)
O 0.481 0.972 0.346 (multiplicity 1)
O 0.510 0.443 0.335 (multiplicity 1)
O 0.534 0.659 0.969 (multiplicity 1)
O 0.538 0.139 0.958 (multiplicity 1)
O 0.581 0.148 0.432 (multiplicity 1)
O 0.586 0.636 0.461 (multiplicity 1)
O 0.630 0.865 0.048 (multiplicity 1)
O 0.671 0.848 0.533 (multiplicity 1)
O 0.674 0.370 0.548 (multiplicity 1)
O 0.684 0.353 0.066 (multiplicity 1)
O 0.756 0.057 0.170 (multiplicity 1)
O 0.759 0.546 0.636 (multiplicity 1)
O 0.780 0.529 0.157 (multiplicity 1)
O 0.792 0.037 0.657 (multiplicity 1)
O 0.841 0.761 0.274 (multiplicity 1)
O 0.847 0.265 0.246 (multiplicity 1)
O 0.864 0.767 0.749 (multiplicity 1)
O 0.871 0.244 0.731 (multiplicity 1)
O 0.932 0.458 0.369 (multiplicity 1)
O 0.944 0.934 0.358 (multiplicity 1)
O 0.972 0.434 0.861 (multiplicity 1)
O 0.974 0.950 0.833 (multiplicity 1)

---

B) A geometry-optimized Li9Mn20O40 structure. Source: the Materials Project database, functional PBE+U.

Computed properties:
Total magnetic moment ... 69.0 μB per formula unit

a = 12.925 Å, b = 12.925 Å, c = 8.182 Å
α = 90.00°, β = 90.00°, γ = 90.00°
Space group I-4 (No. 82)
Inequivalent atoms, fractional coordinates:
Li 0.000 0.000 0.000 (multiplicity 2)
Li 0.099 0.201 0.750 (multiplicity 8)
Li 0.102 0.698 0.497 (multiplicity 8)
Mn 0.000 0.253 0.126 (multiplicity 8)
Mn 0.051 0.102 0.375 (multiplicity 8)
Mn 0.051 0.599 0.877 (multiplicity 8)
Mn 0.150 0.303 0.375 (multiplicity 8)
Mn 0.152 0.799 0.874 (multiplicity 8)
O 0.011 0.247 0.362 (multiplicity 8)
O 0.012 0.745 0.888 (multiplicity 8)
O 0.045 0.589 0.638 (multiplicity 8)
O 0.047 0.089 0.612 (multiplicity 8)
O 0.056 0.112 0.139 (multiplicity 8)
O 0.058 0.612 0.110 (multiplicity 8)
O 0.145 0.291 0.139 (multiplicity 8)
O 0.147 0.790 0.110 (multiplicity 8)
O 0.154 0.311 0.612 (multiplicity 8)
O 0.157 0.810 0.638 (multiplicity 8)

---

Which one is most stable, and which one is least stable? A) is the most stable of them, while B) is the least stable.

---

A) A geometry-optimized LiMn3P3O12 structure. Source: the Materials Project database, functional PBE+U.

Computed properties:
Total magnetic moment ... 13.0 μB per formula unit

a = 8.602 Å, b = 9.040 Å, c = 12.597 Å
α = 104.84°, β = 100.39°, γ = 103.43°
Space group P1 (No. 1)
Inequivalent atoms, fractional coordinates:
Li 0.000 0.000 0.000 (multiplicity 1)
Li 0.007 0.739 0.737 (multiplicity 1)
Li 0.486 0.128 0.615 (multiplicity 1)
Li 0.991 0.262 0.259 (multiplicity 1)
Mn 0.112 0.891 0.455 (multiplicity 1)
Mn 0.113 0.394 0.957 (multiplicity 1)
Mn 0.232 0.506 0.738 (multiplicity 1)
Mn 0.234 0.002 0.240 (multiplicity 1)
Mn 0.431 0.482 0.364 (multiplicity 1)
Mn 0.434 0.985 0.868 (multiplicity 1)
Mn 0.564 0.520 0.628 (multiplicity 1)
Mn 0.566 0.018 0.131 (multiplicity 1)
Mn 0.764 0.495 0.259 (multiplicity 1)
Mn 0.772 0.990 0.757 (multiplicity 1)
Mn 0.882 0.103 0.536 (multiplicity 1)
Mn 0.883 0.607 0.039 (multiplicity 1)
P 0.149 0.615 0.247 (multiplicity 1)
P 0.152 0.119 0.748 (multiplicity 1)
P 0.207 0.267 0.478 (multiplicity 1)
P 0.210 0.769 0.978 (multiplicity 1)
P 0.365 0.260 0.107 (multiplicity 1)
P 0.369 0.769 0.611 (multiplicity 1)
P 0.630 0.235 0.386 (multiplicity 1)
P 0.633 0.739 0.889 (multiplicity 1)
P 0.788 0.230 0.017 (multiplicity 1)
P 0.790 0.732 0.518 (multiplicity 1)
P 0.844 0.379 0.747 (multiplicity 1)
P 0.847 0.881 0.245 (multiplicity 1)
O 0.021 0.507 0.284 (multiplicity 1)
O 0.030 0.012 0.791 (multiplicity 1)
O 0.030 0.259 0.491 (multiplicity 1)
O 0.033 0.770 0.993 (multiplicity 1)
O 0.090 0.072 0.614 (multiplicity 1)
O 0.092 0.574 0.113 (multiplicity 1)
O 0.167 0.299 0.796 (multiplicity 1)
O 0.168 0.796 0.298 (multiplicity 1)
O 0.217 0.163 0.137 (multiplicity 1)
O 0.224 0.344 0.382 (multiplicity 1)
O 0.226 0.852 0.884 (multiplicity 1)
O 0.229 0.687 0.654 (multiplicity 1)
O 0.230 0.600 0.930 (multiplicity 1)
O 0.240 0.100 0.437 (multiplicity 1)
O 0.310 0.348 0.023 (multiplicity 1)
O 0.318 0.867 0.533 (multiplicity 1)
O 0.322 0.592 0.278 (multiplicity 1)
O 0.326 0.095 0.773 (multiplicity 1)
O 0.332 0.363 0.596 (multiplicity 1)
O 0.332 0.865 0.096 (multiplicity 1)
O 0.449 0.642 0.547 (multiplicity 1)
O 0.456 0.141 0.047 (multiplicity 1)
O 0.492 0.109 0.284 (multiplicity 1)
O 0.496 0.383 0.213 (multiplicity 1)
O 0.502 0.617 0.783 (multiplicity 1)
O 0.510 0.896 0.710 (multiplicity 1)
O 0.542 0.859 0.949 (multiplicity 1)
O 0.546 0.361 0.447 (multiplicity 1)
O 0.665 0.390 0.707 (multiplicity 1)
O 0.666 0.134 0.899 (multiplicity 1)
O 0.669 0.633 0.400 (multiplicity 1)
O 0.676 0.907 0.216 (multiplicity 1)
O 0.680 0.152 0.475 (multiplicity 1)
O 0.686 0.650 0.971 (multiplicity 1)
O 0.763 0.900 0.562 (multiplicity 1)
O 0.767 0.398 0.065 (multiplicity 1)
O 0.771 0.315 0.343 (multiplicity 1)
O 0.773 0.657 0.615 (multiplicity 1)
O 0.774 0.146 0.111 (multiplicity 1)
O 0.782 0.836 0.860 (multiplicity 1)
O 0.824 0.198 0.699 (multiplicity 1)
O 0.829 0.700 0.198 (multiplicity 1)
O 0.900 0.425 0.881 (multiplicity 1)
O 0.907 0.926 0.379 (multiplicity 1)
O 0.964 0.229 0.000 (multiplicity 1)
O 0.968 0.738 0.506 (multiplicity 1)
O 0.970 0.489 0.709 (multiplicity 1)
O 0.976 0.986 0.204 (multiplicity 1)

---

B) A geometry-optimized LiMn3P3O12 structure. Source: the Materials Project database, functional PBE+U.

Computed properties:
Total magnetic moment ... 13.0 μB per formula unit

a = 6.750 Å, b = 8.534 Å, c = 8.588 Å
α = 90.02°, β = 109.33°, γ = 108.89°
Space group P1 (No. 1)
Inequivalent atoms, fractional coordinates:
Li 0.000 0.000 0.000 (multiplicity 1)
Li 0.248 0.487 0.510 (multiplicity 1)
Mn 0.139 0.881 0.564 (multiplicity 1)
Mn 0.256 0.776 0.223 (multiplicity 1)
Mn 0.357 0.433 0.117 (multiplicity 1)
Mn 0.651 0.566 0.887 (multiplicity 1)
Mn 0.745 0.228 0.770 (multiplicity 1)
Mn 0.854 0.113 0.435 (multiplicity 1)
P 0.125 0.627 0.845 (multiplicity 1)
P 0.247 0.206 0.788 (multiplicity 1)
P 0.368 0.153 0.372 (multiplicity 1)
P 0.625 0.843 0.626 (multiplicity 1)
P 0.752 0.792 0.212 (multiplicity 1)
P 0.881 0.372 0.156 (multiplicity 1)
O 0.036 0.238 0.663 (multiplicity 1)
O 0.112 0.513 0.183 (multiplicity 1)
O 0.125 0.680 0.673 (multiplicity 1)
O 0.167 0.772 0.972 (multiplicity 1)
O 0.190 0.093 0.460 (multiplicity 1)
O 0.234 0.225 0.963 (multiplicity 1)
O 0.251 0.028 0.765 (multiplicity 1)
O 0.301 0.025 0.221 (multiplicity 1)
O 0.309 0.544 0.908 (multiplicity 1)
O 0.373 0.327 0.320 (multiplicity 1)
O 0.394 0.822 0.490 (multiplicity 1)
O 0.461 0.331 0.763 (multiplicity 1)
O 0.535 0.670 0.231 (multiplicity 1)
O 0.600 0.665 0.679 (multiplicity 1)
O 0.601 0.169 0.504 (multiplicity 1)
O 0.693 0.453 0.095 (multiplicity 1)
O 0.696 0.974 0.776 (multiplicity 1)
O 0.746 0.970 0.234 (multiplicity 1)
O 0.767 0.774 0.036 (multiplicity 1)
O 0.807 0.901 0.541 (multiplicity 1)
O 0.835 0.229 0.027 (multiplicity 1)
O 0.893 0.490 0.823 (multiplicity 1)
O 0.901 0.319 0.333 (multiplicity 1)
O 0.967 0.765 0.334 (multiplicity 1)

---

C) A geometry-optimized LiMn3P3O12 structure. Source: the Materials Project database, functional PBE+U.

Computed properties:
Total magnetic moment ... 13.0 μB per formula unit

a = 12.319 Å, b = 12.159 Å, c = 6.728 Å
α = 90.00°, β = 117.37°, γ = 90.00°
Space group C2/c (No. 15)
Inequivalent atoms, fractional coordinates:
Li 0.000 0.000 0.000 (multiplicity 4)
Mn 0.000 0.241 0.250 (multiplicity 4)
Mn 0.226 0.341 0.148 (multiplicity 8)
P 0.000 0.212 0.750 (multiplicity 4)
P 0.243 0.392 0.633 (multiplicity 8)
O 0.050 0.284 0.965 (multiplicity 8)
O 0.095 0.132 0.735 (multiplicity 8)
O 0.121 0.100 0.304 (multiplicity 8)
O 0.167 0.336 0.403 (multiplicity 8)
O 0.187 0.495 0.130 (multiplicity 8)
O 0.227 0.317 0.812 (multiplicity 8)

---

Which one is most stable, and which one is least stable? C) is the most stable of them, while B) is the least stable.

---

A) A geometry-optimized LiMn2P3O12 structure. Source: the Materials Project database, functional PBE+U.

Computed properties:
Total magnetic moment ... 7.3 μB per formula unit

a = 7.895 Å, b = 5.209 Å, c = 19.302 Å
α = 90.00°, β = 92.02°, γ = 90.00°
Space group C2/m (No. 12)
Inequivalent atoms, fractional coordinates:
Li 0.001 0.000 0.338 (multiplicity 4)
Mn 0.000 0.000 0.000 (multiplicity 2)
Mn 0.000 0.000 0.500 (multiplicity 2)
Mn 0.001 0.000 0.169 (multiplicity 4)
P 0.150 0.500 0.577 (multiplicity 4)
P 0.153 0.500 0.245 (multiplicity 4)
P 0.156 0.500 0.913 (multiplicity 4)
O 0.032 0.258 0.572 (multiplicity 8)
O 0.034 0.259 0.239 (multiplicity 8)
O 0.038 0.256 0.912 (multiplicity 8)
O 0.232 0.000 0.818 (multiplicity 4)
O 0.235 0.000 0.485 (multiplicity 4)
O 0.237 0.000 0.151 (multiplicity 4)
O 0.240 0.000 0.019 (multiplicity 4)
O 0.240 0.500 0.648 (multiplicity 4)
O 0.242 0.500 0.316 (multiplicity 4)

---

B) A geometry-optimized LiMn2P3O12 structure. Source: the Materials Project database, functional PBE+U.

Computed properties:
Total magnetic moment ... 6.0 μB per formula unit

a = 8.490 Å, b = 8.501 Å, c = 11.827 Å
α = 89.91°, β = 89.99°, γ = 89.96°
Space group P1 (No. 1)
Inequivalent atoms, fractional coordinates:
Li 0.000 0.000 0.000 (multiplicity 1)
Li 0.002 0.333 0.422 (multiplicity 1)
Li 0.350 0.641 0.030 (multiplicity 1)
Li 0.851 0.691 0.529 (multiplicity 1)
Mn 0.313 0.449 0.827 (multiplicity 1)
Mn 0.315 0.882 0.590 (multiplicity 1)
Mn 0.318 0.957 0.095 (multiplicity 1)
Mn 0.321 0.383 0.329 (multiplicity 1)
Mn 0.805 0.376 0.599 (multiplicity 1)
Mn 0.808 0.952 0.825 (multiplicity 1)
Mn 0.812 0.884 0.328 (multiplicity 1)
Mn 0.814 0.453 0.090 (multiplicity 1)
P 0.023 0.169 0.211 (multiplicity 1)
P 0.101 0.666 0.213 (multiplicity 1)
P 0.170 0.813 0.855 (multiplicity 1)
P 0.173 0.525 0.565 (multiplicity 1)
P 0.459 0.025 0.358 (multiplicity 1)
P 0.462 0.308 0.065 (multiplicity 1)
P 0.521 0.165 0.711 (multiplicity 1)
P 0.598 0.668 0.712 (multiplicity 1)
P 0.671 0.521 0.356 (multiplicity 1)
P 0.673 0.810 0.065 (multiplicity 1)
P 0.958 0.312 0.858 (multiplicity 1)
P 0.961 0.023 0.565 (multiplicity 1)
O 0.004 0.562 0.133 (multiplicity 1)
O 0.004 0.775 0.289 (multiplicity 1)
O 0.120 0.061 0.132 (multiplicity 1)
O 0.122 0.273 0.290 (multiplicity 1)
O 0.138 0.321 0.871 (multiplicity 1)
O 0.140 0.016 0.551 (multiplicity 1)
O 0.209 0.571 0.292 (multiplicity 1)
O 0.213 0.760 0.131 (multiplicity 1)
O 0.214 0.694 0.533 (multiplicity 1)
O 0.221 0.483 0.685 (multiplicity 1)
O 0.221 0.851 0.735 (multiplicity 1)
O 0.222 0.645 0.891 (multiplicity 1)
O 0.235 0.399 0.481 (multiplicity 1)
O 0.235 0.935 0.941 (multiplicity 1)
O 0.382 0.902 0.437 (multiplicity 1)
O 0.383 0.431 0.985 (multiplicity 1)
O 0.408 0.353 0.185 (multiplicity 1)
O 0.409 0.985 0.237 (multiplicity 1)
O 0.413 0.141 0.032 (multiplicity 1)
O 0.413 0.194 0.389 (multiplicity 1)
O 0.414 0.073 0.631 (multiplicity 1)
O 0.415 0.258 0.793 (multiplicity 1)
O 0.490 0.820 0.049 (multiplicity 1)
O 0.491 0.515 0.374 (multiplicity 1)
O 0.504 0.559 0.789 (multiplicity 1)
O 0.504 0.773 0.632 (multiplicity 1)
O 0.618 0.272 0.632 (multiplicity 1)
O 0.622 0.061 0.790 (multiplicity 1)
O 0.640 0.016 0.370 (multiplicity 1)
O 0.642 0.316 0.051 (multiplicity 1)
O 0.710 0.759 0.791 (multiplicity 1)
O 0.711 0.575 0.631 (multiplicity 1)
O 0.712 0.640 0.032 (multiplicity 1)
O 0.719 0.483 0.235 (multiplicity 1)
O 0.720 0.850 0.186 (multiplicity 1)
O 0.722 0.690 0.391 (multiplicity 1)
O 0.755 0.932 0.987 (multiplicity 1)
O 0.757 0.402 0.435 (multiplicity 1)
O 0.880 0.434 0.937 (multiplicity 1)
O 0.882 0.902 0.485 (multiplicity 1)
O 0.906 0.981 0.684 (multiplicity 1)
O 0.907 0.350 0.737 (multiplicity 1)
O 0.914 0.140 0.888 (multiplicity 1)
O 0.914 0.194 0.534 (multiplicity 1)
O 0.916 0.076 0.293 (multiplicity 1)
O 0.917 0.260 0.129 (multiplicity 1)
O 0.989 0.512 0.550 (multiplicity 1)
O 0.989 0.825 0.872 (multiplicity 1)

---

Which one is most stable, and which one is least stable? B) is the most stable of them, while A) is the least stable.